MgFe3Ni2SbP6O24: relaxed, GGA+U.

a b c (Å): 8.6785 8.6806 8.6813
angles (deg): 60.31 60.34 60.33
Closest atoms and distances in Å follow each position.
Space group P1 (No. 1)
Symmetry-distinct sites (fractional):
1 Mg 0.0000 0.0000 0.0000 [1 per cell]  6 O 2.03-2.20
2 Fe 0.2748 0.2774 0.2767 [1 per cell]  6 O 1.93-2.10
3 Fe 0.7562 0.7590 0.7585 [1 per cell]  6 O 2.07-2.18
4 Fe 0.8761 0.8792 0.8789 [1 per cell]  6 O 2.11-2.14
5 Ni 0.1319 0.1345 0.1337 [1 per cell]  6 O 2.16-2.18
6 Ni 0.6286 0.6301 0.6304 [1 per cell]  6 O 2.14-2.24
7 Sb 0.4820 0.4835 0.4833 [1 per cell]  6 O 1.95-2.05
8 P 0.0844 0.6755 0.3722 [1 per cell]  4 O 1.52-1.59
9 P 0.1776 0.5737 0.8824 [1 per cell]  4 O 1.53-1.61
10 P 0.3706 0.0870 0.6754 [1 per cell]  4 O 1.52-1.59
11 P 0.5707 0.8836 0.1797 [1 per cell]  4 O 1.53-1.61
12 P 0.6746 0.3723 0.0870 [1 per cell]  4 O 1.52-1.59
13 P 0.8811 0.1802 0.5733 [1 per cell]  4 O 1.53-1.61
14 O 0.0153 0.6190 0.8244 [1 per cell]  1 P 1.53
15 O 0.0337 0.2094 0.3783 [1 per cell]  1 P 1.54
16 O 0.0796 0.8743 0.2305 [1 per cell]  1 P 1.54
17 O 0.1347 0.7430 0.9298 [1 per cell]  1 P 1.54
18 O 0.1529 0.5319 0.2813 [1 per cell]  1 P 1.52
19 O 0.2067 0.3788 0.0355 [1 per cell]  1 P 1.54
20 O 0.2275 0.6187 0.4703 [1 per cell]  1 P 1.59
21 O 0.2293 0.0810 0.8744 [1 per cell]  1 P 1.54
22 O 0.2794 0.1578 0.5313 [1 per cell]  1 P 1.52
23 O 0.3753 0.5616 0.7131 [1 per cell]  1 P 1.61
24 O 0.3760 0.0368 0.2087 [1 per cell]  1 P 1.54
25 O 0.4691 0.2290 0.6206 [1 per cell]  1 P 1.59
26 O 0.5232 0.8921 0.6727 [1 per cell]  1 P 1.55
27 O 0.5291 0.2825 0.1587 [1 per cell]  1 P 1.52
28 O 0.5585 0.7142 0.3776 [1 per cell]  1 P 1.61
29 O 0.6155 0.8255 0.0177 [1 per cell]  1 P 1.53
30 O 0.6222 0.4694 0.2292 [1 per cell]  1 P 1.59
31 O 0.6713 0.5253 0.8925 [1 per cell]  1 P 1.55
32 O 0.7115 0.3780 0.5617 [1 per cell]  1 P 1.61
33 O 0.7400 0.9312 0.1364 [1 per cell]  1 P 1.54
34 O 0.8227 0.0182 0.6185 [1 per cell]  1 P 1.53
35 O 0.8734 0.2300 0.0805 [1 per cell]  1 P 1.54
36 O 0.8896 0.6737 0.5252 [1 per cell]  1 P 1.55
37 O 0.9288 0.1369 0.7425 [1 per cell]  1 P 1.54

Properties
- Polymorph energy (0 for the lowest one): 25 meV/atom
- Electronic total energy: -6.7446 eV/atom
- Energy of formation: -2.269 eV/atom

***

ZnFe2P4O14: relaxed, GGA+U.

a b c (Å): 9.0559 12.4099 10.2999
angles (deg): 90.00 90.00 90.00
Closest atoms and distances in Å follow each position.
Space group Pnma (No. 62)
Symmetry-distinct sites (fractional):
1 Zn 0.2456 0.2500 0.1182 [4 per cell]  6 O 2.09-2.16
2 Fe 0.2488 0.5107 0.6208 [8 per cell]  6 O 1.93-2.15
3 P 0.0730 0.1272 0.8660 [8 per cell]  4 O 1.51-1.61
4 P 0.0860 0.1331 0.3798 [8 per cell]  4 O 1.50-1.61
5 O 0.0477 0.2500 0.8199 [4 per cell]  2 P 1.61
6 O 0.0787 0.5797 0.1088 [8 per cell]  1 P 1.52
7 O 0.0836 0.6315 0.6284 [8 per cell]  1 P 1.54
8 O 0.1295 0.2500 0.4370 [4 per cell]  2 P 1.61
9 O 0.1479 0.0511 0.4722 [8 per cell]  1 P 1.50
10 O 0.1522 0.0718 0.7550 [8 per cell]  1 P 1.51
11 O 0.1584 0.1269 0.2445 [8 per cell]  1 P 1.54
12 O 0.1661 0.1315 0.9914 [8 per cell]  1 P 1.54

Properties
- Electronic total energy: -6.9372 eV/atom
- Energy of formation: -2.414 eV/atom

***

BaWO2: relaxed, GGA+U.

a b c (Å): 6.8292 6.8292 12.9942
angles (deg): 90.00 90.00 90.00
Closest atoms and distances in Å follow each position.
Space group I4_1/amd (No. 141, origin choice 2)
Symmetry-distinct sites (fractional):
1 Ba 0.0000 0.0000 0.0000 [8 per cell]  6 O 2.72-2.78
2 W 0.0000 0.0000 0.5000 [8 per cell]  4 O 2.24
3 O 0.0000 0.0508 0.2119 [16 per cell]  2 W 2.24

Properties
- Electronic total energy: -6.2939 eV/atom
- Energy of formation: -1.554 eV/atom

***

Li9Mn2Co5O16: relaxed, GGA+U.

a b c (Å): 5.1722 5.7854 9.7095
angles (deg): 90.00 98.92 90.00
Closest atoms and distances in Å follow each position.
Space group P2 (No. 3)
Symmetry-distinct sites (fractional):
1 Li 0.0000 0.0000 0.0000 [1 per cell]  6 O 2.12-2.18
2 Li 0.0000 0.2415 0.5000 [1 per cell]  6 O 2.05-2.17
3 Li 0.0000 0.4953 0.0000 [1 per cell]  6 O 2.08-2.26
4 Li 0.2460 0.2416 0.2554 [2 per cell]  6 O 2.08-2.18
5 Li 0.2485 0.7463 0.2547 [2 per cell]  6 O 2.03-2.20
6 Li 0.5000 0.4914 0.5000 [1 per cell]  4 O 2.08-2.12
7 Li 0.5000 0.9924 0.5000 [1 per cell]  6 O 2.16-2.23
8 Mn 0.2514 0.4970 0.7465 [2 per cell]  6 O 1.91-2.00
9 Co 0.0000 0.7435 0.5000 [1 per cell]  4 O 1.90-1.95
10 Co 0.2457 0.9999 0.7419 [2 per cell]  5 O 1.92-2.06
11 Co 0.5000 0.2426 0.0000 [1 per cell]  6 O 1.98-2.10
12 Co 0.5000 0.7515 0.0000 [1 per cell]  6 O 1.97-2.06
13 O 0.0798 0.5063 0.3707 [2 per cell]  1 Mn 1.91, 1 Co 1.95, 2 Li 2.06
14 O 0.0981 0.9752 0.3788 [2 per cell]  2 Co 1.90-1.98, 2 Li 2.03-2.05
15 O 0.1393 0.2593 0.8680 [2 per cell]  1 Mn 1.96, 2 Co 2.06-2.10, 3 Li 2.08-2.17
16 O 0.1480 0.7438 0.8669 [2 per cell]  1 Mn 1.97, 2 Co 2.03-2.06, 3 Li 2.15-2.20
17 O 0.3725 0.2481 0.6390 [2 per cell]  1 Co 1.92, 1 Mn 1.94, 2 Li 2.08-2.12
18 O 0.3782 0.7314 0.6356 [2 per cell]  1 Mn 1.91, 1 Co 2.04, 2 Li 2.06-2.08
19 O 0.3826 0.9955 0.1169 [2 per cell]  3 Co 1.97-2.18, 3 Li 2.12-2.15
20 O 0.4051 0.4963 0.1257 [2 per cell]  1 Mn 2.00, 2 Co 2.02, 2 Li 2.15-2.18

Properties
- Polymorph energy (0 for the lowest one): 23 meV/atom
- Electronic total energy: -5.8314 eV/atom
- Energy of formation: -1.841 eV/atom

***

KDySnWO6: relaxed, GGA+U.

a b c (Å): 8.3849 8.3849 8.3849
angles (deg): 90.00 90.00 90.00
Closest atoms and distances in Å follow each position.
Space group F-43m (No. 216)
Symmetry-distinct sites (fractional):
1 K 0.0000 0.0000 0.0000 [4 per cell]  12 O 2.97
2 Dy 0.2500 0.2500 0.2500 [4 per cell]  6 O 2.24
3 Sn 0.0000 0.0000 0.5000 [4 per cell]  12 O 2.97
4 W 0.2500 0.2500 0.7500 [4 per cell]  6 O 1.95
5 O 0.0172 0.2500 0.7500 [24 per cell]  1 W 1.95

Properties
- Electronic total energy: -6.8667 eV/atom
- Energy of formation: -2.485 eV/atom

***

MgV2O5: relaxed, GGA+U.

a b c (Å): 3.4308 11.6019 4.9013
angles (deg): 90.00 90.00 90.00
Closest atoms and distances in Å follow each position.
Space group Pmmn (No. 59, origin choice 2)
Symmetry-distinct sites (fractional):
1 Mg 0.2500 0.2500 0.1760 [2 per cell]  2 O 2.11
2 V 0.2500 0.5995 0.3932 [4 per cell]  1 O 1.68
3 O 0.2500 0.0749 0.4336 [4 per cell]  3 V 1.93-2.03
4 O 0.2500 0.6349 0.0600 [4 per cell]  1 V 1.68
5 O 0.2500 0.7500 0.5746 [2 per cell]  2 V 1.96, 2 Mg 2.11

Properties
- Polymorph energy (0 for the lowest one): 75 meV/atom
- Electronic total energy: -7.2724 eV/atom
- Energy of formation: -2.563 eV/atom

***

CrO2: relaxed, GGA+U.

a b c (Å): 4.7661 4.7661 4.7661
angles (deg): 90.00 90.00 90.00
Closest atoms and distances in Å follow each position.
Space group Fm-3m (No. 225)
Symmetry-distinct sites (fractional):
1 Cr 0.0000 0.0000 0.0000 [4 per cell]  8 O 2.06
2 O 0.2500 0.2500 0.2500 [8 per cell]  4 Cr 2.06

Properties
- Electronic total energy: -7.2469 eV/atom
- Energy of formation: -1.855 eV/atom

***

Sr6Ca2Fe3Co5O20: relaxed, GGA+U.

a b c (Å): 10.8403 11.2604 17.7309
angles (deg): 108.36 107.66 90.30
Closest atoms and distances in Å follow each position.
Space group P1 (No. 1)
Symmetry-distinct sites (fractional):
1 Sr 0.0000 0.0000 0.0000 [1 per cell]  7 O 2.47-2.69
2 Sr 0.9999 0.4991 0.9998 [1 per cell]  7 O 2.46-2.72
3 Sr 0.1046 0.6256 0.7160 [1 per cell]  7 O 2.46-2.71
4 Sr 0.1068 0.6261 0.2248 [1 per cell]  7 O 2.44-2.68
5 Sr 0.1079 0.1265 0.7163 [1 per cell]  7 O 2.46-2.74
6 Sr 0.1121 0.1295 0.2249 [1 per cell]  7 O 2.48-2.70
7 Sr 0.2466 0.7648 0.4985 [1 per cell]  6 O 2.40-2.64
8 Sr 0.2484 0.2651 0.0004 [1 per cell]  7 O 2.46-2.71
9 Sr 0.2500 0.7644 0.0003 [1 per cell]  7 O 2.45-2.69
10 Sr 0.3575 0.8573 0.7159 [1 per cell]  7 O 2.45-2.70
11 Sr 0.3598 0.3610 0.2260 [1 per cell]  7 O 2.49-2.72
12 Sr 0.3624 0.8610 0.2252 [1 per cell]  8 O 2.52-2.80
13 Sr 0.4942 0.5010 0.9986 [1 per cell]  7 O 2.53-2.69
14 Sr 0.5007 0.9956 0.9992 [1 per cell]  7 O 2.47-2.69
15 Sr 0.6089 0.6235 0.7164 [1 per cell]  6 O 2.46-2.67
16 Sr 0.6115 0.1291 0.2230 [1 per cell]  7 O 2.45-2.70
17 Sr 0.6125 0.6267 0.2254 [1 per cell]  7 O 2.46-2.75
18 Sr 0.7474 0.2636 0.9982 [1 per cell]  7 O 2.52-2.72
19 Sr 0.7466 0.7699 0.9993 [1 per cell]  7 O 2.49-2.69
20 Sr 0.7478 0.2716 0.5000 [1 per cell]  7 O 2.43-2.64
21 Sr 0.8543 0.3591 0.7160 [1 per cell]  7 O 2.45-2.71
22 Sr 0.8582 0.8552 0.7156 [1 per cell]  7 O 2.47-2.73
23 Sr 0.8608 0.8617 0.2254 [1 per cell]  7 O 2.50-2.71
24 Sr 0.8649 0.3694 0.2272 [1 per cell]  8 O 2.49-2.79
25 Ca 0.2439 0.2735 0.5031 [1 per cell]  6 O 2.33-2.57
26 Ca 0.3519 0.3479 0.7142 [1 per cell]  5 O 2.34-2.54
27 Ca 0.4978 0.9945 0.5049 [1 per cell]  7 O 2.31-2.56
28 Ca 0.5015 0.4985 0.5031 [1 per cell]  6 O 2.31-2.59
29 Ca 0.5995 0.1292 0.7139 [1 per cell]  6 O 2.34-2.60
30 Ca 0.7505 0.7716 0.5020 [1 per cell]  5 O 2.30-2.58
31 Ca 0.9953 0.5005 0.5026 [1 per cell]  6 O 2.30-2.55
32 Ca 0.9963 0.9968 0.5037 [1 per cell]  7 O 2.33-2.56
33 Fe 0.1580 0.9718 0.8579 [1 per cell]  4 O 1.88-1.96
34 Fe 0.1601 0.4698 0.8578 [1 per cell]  4 O 1.88-1.95
35 Fe 0.4063 0.6476 0.8539 [1 per cell]  4 O 1.88-1.95
36 Fe 0.4069 0.1561 0.3671 [1 per cell]  4 O 1.89-1.94
37 Fe 0.4103 0.1563 0.8580 [1 per cell]  4 O 1.89-1.95
38 Fe 0.4150 0.6533 0.3646 [1 per cell]  4 O 1.89-1.93
39 Fe 0.6530 0.4650 0.8563 [1 per cell]  4 O 1.88-1.95
40 Fe 0.6570 0.9726 0.8554 [1 per cell]  4 O 1.87-1.95
41 Fe 0.6609 0.9729 0.3661 [1 per cell]  4 O 1.88-1.96
42 Fe 0.9034 0.1532 0.8543 [1 per cell]  4 O 1.89-1.95
43 Fe 0.9082 0.6524 0.8593 [1 per cell]  4 O 1.87-1.96
44 Fe 0.9153 0.1554 0.3643 [1 per cell]  4 O 1.88-1.96
45 Co 0.0531 0.3124 0.1074 [1 per cell]  4 O 1.81-1.94
46 Co 0.0527 0.8096 0.6043 [1 per cell]  4 O 1.92-2.08
47 Co 0.0541 0.3117 0.6036 [1 per cell]  4 O 1.84-1.98
48 Co 0.0553 0.8133 0.1104 [1 per cell]  5 O 2.05-2.26
49 Co 0.1624 0.9728 0.3654 [1 per cell]  4 O 1.81-1.97
50 Co 0.1635 0.4696 0.3680 [1 per cell]  4 O 1.82-1.97
51 Co 0.3039 0.0608 0.6042 [1 per cell]  4 O 1.83-1.99
52 Co 0.3049 0.5614 0.6080 [1 per cell]  6 O 2.00-2.21
53 Co 0.3064 0.0646 0.1122 [1 per cell]  3 O 1.85-1.99
54 Co 0.3097 0.5664 0.1161 [1 per cell]  3 O 1.86-1.97
55 Co 0.5512 0.3097 0.6024 [1 per cell]  4 O 1.86-2.05
56 Co 0.5560 0.3137 0.1100 [1 per cell]  5 O 2.04-2.26
57 Co 0.5561 0.8104 0.6044 [1 per cell]  4 O 1.85-1.98
58 Co 0.5585 0.8144 0.1156 [1 per cell]  4 O 1.83-1.94
59 Co 0.6647 0.4745 0.3645 [1 per cell]  4 O 1.80-1.98
60 Co 0.8022 0.5578 0.1033 [1 per cell]  3 O 1.85-1.98
61 Co 0.8033 0.5622 0.6029 [1 per cell]  4 O 1.91-1.97
62 Co 0.8052 0.0603 0.6069 [1 per cell]  6 O 2.00-2.23
63 Co 0.8085 0.0663 0.1153 [1 per cell]  4 O 1.86-2.08
64 Co 0.9117 0.6610 0.3676 [1 per cell]  4 O 1.82-1.96
65 O 0.9995 0.2810 0.4678 [1 per cell]  1 Fe 1.88
66 O 0.1323 0.8602 0.7486 [1 per cell]  1 Fe 1.88
67 O 0.1324 0.8696 0.2575 [1 per cell]  1 Co 1.83
68 O 0.1327 0.3644 0.2611 [1 per cell]  1 Co 1.82
69 O 0.1440 0.3573 0.7504 [1 per cell]  1 Fe 1.88
70 O 0.1703 0.6807 0.5971 [1 per cell]  2 Co 1.94-2.00
71 O 0.1717 0.1797 0.5914 [1 per cell]  2 Co 1.97-1.98
72 O 0.1753 0.1865 0.1042 [1 per cell]  2 Co 1.94-1.99
73 O 0.1760 0.4338 0.1192 [1 per cell]  1 Co 1.82
74 O 0.1813 0.4315 0.6160 [1 per cell]  2 Co 1.84-2.04
75 O 0.1814 0.6769 0.1078 [1 per cell]  2 Co 1.87-2.06
76 O 0.1875 0.9495 0.6128 [1 per cell]  1 Co 1.85
77 O 0.1920 0.9478 0.1185 [1 per cell]  2 Co 1.85-2.05
78 O 0.2302 0.6283 0.8579 [1 per cell]  2 Fe 1.93-1.95
79 O 0.2305 0.1374 0.3705 [1 per cell]  1 Fe 1.94, 1 Co 1.96
80 O 0.2324 0.1283 0.8579 [1 per cell]  2 Fe 1.93-1.95
81 O 0.2381 0.6240 0.3629 [1 per cell]  1 Fe 1.93, 1 Co 1.95
82 O 0.2403 0.4678 0.9678 [1 per cell]  1 Fe 1.89
83 O 0.2428 0.9679 0.9673 [1 per cell]  1 Fe 1.89
84 O 0.2524 0.4653 0.4725 [1 per cell]  1 Co 1.83
85 O 0.2543 0.9634 0.4670 [1 per cell]  1 Co 1.81
86 O 0.3817 0.6555 0.7456 [1 per cell]  1 Fe 1.89
87 O 0.3840 0.1552 0.2563 [1 per cell]  1 Fe 1.90
88 O 0.3859 0.6546 0.2531 [1 per cell]  1 Fe 1.91
89 O 0.3889 0.1658 0.7503 [1 per cell]  1 Fe 1.89
90 O 0.4175 0.1748 0.5972 [1 per cell]  1 Co 1.83
91 O 0.4251 0.1785 0.1063 [1 per cell]  2 Co 1.86-2.05
92 O 0.4257 0.4452 0.1180 [1 per cell]  2 Co 1.86-2.05
93 O 0.4267 0.6866 0.1020 [1 per cell]  2 Co 1.93-1.97
94 O 0.4341 0.4277 0.6178 [1 per cell]  2 Co 1.86-2.07
95 O 0.4341 0.6881 0.5973 [1 per cell]  1 Co 1.85
96 O 0.4398 0.9449 0.6200 [1 per cell]  2 Co 1.98-1.99
97 O 0.4418 0.9318 0.1185 [1 per cell]  1 Co 1.83
98 O 0.4716 0.4860 0.8498 [1 per cell]  2 Fe 1.94-1.95
99 O 0.4797 0.9983 0.8571 [1 per cell]  2 Fe 1.93-1.95
100 O 0.4857 0.0034 0.3724 [1 per cell]  2 Fe 1.94-1.96
101 O 0.4872 0.4994 0.3704 [1 per cell]  1 Fe 1.92, 1 Co 1.98
102 O 0.4937 0.2655 0.9690 [1 per cell]  1 Fe 1.89
103 O 0.4940 0.7605 0.9620 [1 per cell]  1 Fe 1.88
104 O 0.4950 0.2803 0.4711 [1 per cell]  1 Fe 1.89
105 O 0.4990 0.7786 0.4689 [1 per cell]  1 Fe 1.89
106 O 0.6309 0.8606 0.2558 [1 per cell]  1 Fe 1.89
107 O 0.6338 0.3711 0.2562 [1 per cell]  1 Co 1.83
108 O 0.6359 0.3480 0.7504 [1 per cell]  1 Fe 1.88
109 O 0.6364 0.8537 0.7499 [1 per cell]  1 Fe 1.87
110 O 0.6643 0.1818 0.5976 [1 per cell]  2 Co 1.90-2.06
111 O 0.6703 0.6941 0.1057 [1 per cell]  1 Co 1.83
112 O 0.6725 0.6778 0.5896 [1 per cell]  2 Co 1.94-1.97
113 O 0.6769 0.9371 0.6156 [1 per cell]  2 Co 1.85-2.03
114 O 0.6828 0.4473 0.6148 [1 per cell]  2 Co 1.94-2.01
115 O 0.6845 0.9426 0.1215 [1 per cell]  2 Co 1.94-1.98
116 O 0.6863 0.1809 0.1066 [1 per cell]  2 Co 1.86-2.06
117 O 0.6864 0.4514 0.1170 [1 per cell]  2 Co 1.85-2.04
118 O 0.7221 0.1295 0.8495 [1 per cell]  2 Fe 1.94-1.95
119 O 0.7296 0.6216 0.8580 [1 per cell]  2 Fe 1.93-1.96
120 O 0.7336 0.6373 0.3700 [1 per cell]  2 Co 1.94-1.96
121 O 0.7364 0.1262 0.3629 [1 per cell]  2 Fe 1.93-1.96
122 O 0.7380 0.4700 0.9693 [1 per cell]  1 Fe 1.92
123 O 0.7428 0.9733 0.9659 [1 per cell]  1 Fe 1.89
124 O 0.7521 0.4661 0.4666 [1 per cell]  1 Co 1.80
125 O 0.7530 0.9625 0.4717 [1 per cell]  1 Fe 1.88
126 O 0.8840 0.1550 0.7453 [1 per cell]  1 Fe 1.89
127 O 0.8842 0.6566 0.2601 [1 per cell]  1 Co 1.82
128 O 0.8849 0.6601 0.7520 [1 per cell]  1 Fe 1.87
129 O 0.8869 0.1577 0.2535 [1 per cell]  1 Fe 1.90
130 O 0.9192 0.6819 0.1061 [1 per cell]  2 Co 1.86-2.05
131 O 0.9200 0.6793 0.5923 [1 per cell]  2 Co 1.91-1.96
132 O 0.9304 0.9499 0.1179 [1 per cell]  2 Co 1.87-2.05
133 O 0.9315 0.1907 0.5973 [1 per cell]  1 Co 1.85
134 O 0.9340 0.4426 0.6156 [1 per cell]  2 Co 1.97-1.98
135 O 0.9346 0.1957 0.1051 [1 per cell]  1 Co 1.81
136 O 0.9350 0.4405 0.1199 [1 per cell]  2 Co 1.94-1.98
137 O 0.9360 0.9368 0.6133 [1 per cell]  2 Co 1.92-2.00
138 O 0.9798 0.9992 0.8575 [1 per cell]  2 Fe 1.94-1.96
139 O 0.9819 0.4956 0.8575 [1 per cell]  2 Fe 1.94-1.95
140 O 0.9853 0.0006 0.3711 [1 per cell]  1 Fe 1.93, 1 Co 1.97
141 O 0.9872 0.2648 0.9651 [1 per cell]  1 Fe 1.90
142 O 0.9883 0.5063 0.3727 [1 per cell]  2 Co 1.95-1.97
143 O 0.9917 0.7638 0.9696 [1 per cell]  1 Fe 1.89
144 O 0.9948 0.7774 0.4702 [1 per cell]  1 Co 1.82

Properties
- Electronic total energy: -6.2497 eV/atom
- Energy of formation: -2.212 eV/atom